1.
## TiN (GGA-PBE)

Data for crystalline TiN at its relaxed geometry.

Output
ρ = 4.7 Mg/m³
total moment = 0.0 μB/f.u.
formation energy = -1823 meV/atom

Cell: 3.0095 3.0095 183.9215 Å, 90.00 90.00 120.00°
Closest atoms and distances in Å follow each position.
Space group R3m (No. 160, hexagonal axes)
One atom of each set of equivalent atoms:
Ti 0.0000 0.0000 0.0000 x3  3 N 2.06
Ti 0.0000 0.0000 0.0395 x3  6 N 2.12-2.14
Ti 0.0000 0.0000 0.0796 x3  6 N 2.12-2.13
Ti 0.0000 0.0000 0.1196 x3  6 N 2.13
Ti 0.0000 0.0000 0.1596 x3  6 N 2.13
Ti 0.0000 0.0000 0.1996 x3  6 N 2.12-2.13
Ti 0.0000 0.0000 0.2396 x3  6 N 2.12-2.13
Ti 0.0000 0.0000 0.2809 x3  3 N 1.91
Ti 0.0000 0.0000 0.3597 x3  6 N 2.11-2.14
Ti 0.0000 0.0000 0.3996 x3  6 N 2.12-2.13
Ti 0.0000 0.0000 0.4396 x3  6 N 2.13
Ti 0.0000 0.0000 0.4796 x3  6 N 2.13
Ti 0.0000 0.0000 0.5196 x3  6 N 2.12-2.13
Ti 0.0000 0.0000 0.5596 x3  6 N 2.12-2.13
Ti 0.0000 0.0000 0.5997 x3  6 N 2.08-2.13
Ti 0.0000 0.0000 0.6794 x3  6 N 2.13-2.14
Ti 0.0000 0.0000 0.7196 x3  6 N 2.12-2.13
Ti 0.0000 0.0000 0.7596 x3  6 N 2.12-2.13
Ti 0.0000 0.0000 0.7996 x3  6 N 2.13
Ti 0.0000 0.0000 0.8396 x3  6 N 2.13
Ti 0.0000 0.0000 0.8796 x3  6 N 2.12-2.13
Ti 0.0000 0.0000 0.9196 x3  6 N 2.13
N 0.0000 0.0000 0.0196 x3  6 Ti 2.14
N 0.0000 0.0000 0.0596 x3  6 Ti 2.12
N 0.0000 0.0000 0.0996 x3  6 Ti 2.13
N 0.0000 0.0000 0.1396 x3  6 Ti 2.13
N 0.0000 0.0000 0.1796 x3  6 Ti 2.12-2.13
N 0.0000 0.0000 0.2196 x3  6 Ti 2.13
N 0.0000 0.0000 0.2596 x3  6 Ti 2.13
N 0.0000 0.0000 0.3393 x3  6 Ti 2.06-2.13
N 0.0000 0.0000 0.3796 x3  6 Ti 2.13-2.14
N 0.0000 0.0000 0.4196 x3  6 Ti 2.12
N 0.0000 0.0000 0.4596 x3  6 Ti 2.13
N 0.0000 0.0000 0.4996 x3  6 Ti 2.13
N 0.0000 0.0000 0.5396 x3  6 Ti 2.12
N 0.0000 0.0000 0.5796 x3  6 Ti 2.12-2.13
N 0.0000 0.0000 0.6185 x3  3 Ti 1.91
N 0.0000 0.0000 0.6996 x3  6 Ti 2.11-2.12
N 0.0000 0.0000 0.7396 x3  6 Ti 2.13
N 0.0000 0.0000 0.7796 x3  6 Ti 2.13
N 0.0000 0.0000 0.8196 x3  6 Ti 2.13
N 0.0000 0.0000 0.8596 x3  6 Ti 2.13
N 0.0000 0.0000 0.8996 x3  6 Ti 2.12-2.13
N 0.0000 0.0000 0.9393 x3  6 Ti 2.08-2.32

***

2.
## Tm2NiSn6 (GGA-PBE)

Data for crystalline Tm2NiSn6 at its relaxed geometry.

Output
ρ = 8.5 Mg/m³
formation energy = -418 meV/atom

Cell: 4.3757 22.3217 4.4201 Å, 90.00 90.00 90.00°
Closest atoms and distances in Å follow each position.
Space group Cmmm (No. 65)
One atom of each set of equivalent atoms:
Tm 0.0000 0.1787 0.0000 x4  10 Sn 3.16-3.44
Ni 0.0000 0.5000 0.5000 x2  8 Sn 2.71
Sn 0.0000 0.0714 0.5000 x4  2 Ni 2.71
Sn 0.0000 0.2965 0.5000 x4  2 Sn 3.02, 4 Tm 3.16
Sn 0.0000 0.4296 0.0000 x4  2 Ni 2.71

***

3.
## LiCdN (GGA-PBE)

Data for crystalline LiCdN at its relaxed geometry.

Output
ρ = 4.6 Mg/m³
total moment = 0.0 μB/f.u.
formation energy = 153 meV/atom

Cell: 3.6972 3.6972 4.0870 Å, 90.00 90.00 120.00°
Closest atoms and distances in Å follow each position.
Space group P-6m2 (No. 187)
One atom of each set of equivalent atoms:
Li 0.0000 0.0000 0.0000 x1  3 N 2.13
Cd 0.6667 0.3333 0.5000 x1  2 N 2.04
N 0.6667 0.3333 0.0000 x1  2 Cd 2.04, 3 Li 2.13

***

4.
## ReO2F3 (GGA-PBE)

Data for crystalline ReO2F3 at its relaxed geometry.

Output
ρ = 4.9 Mg/m³
formation energy = -2395 meV/atom

Cell: 5.7256 5.0984 13.0891 Å, 90.00 99.55 90.00°
Closest atoms and distances in Å follow each position.
Space group P2_1/c (No. 14)
One atom of each set of equivalent atoms:
Re 0.1757 0.2097 0.3628 x4  2 O 1.70, 2 F 1.86-1.87
O 0.2440 0.0916 0.9682 x4  1 Re 1.70
O 0.3310 0.5674 0.9023 x4  1 Re 1.70
F 0.0387 0.0133 0.2187 x4  2 Re 2.15-2.17
F 0.1219 0.6037 0.1108 x4  1 Re 1.87
F 0.3852 0.1552 0.7815 x4  1 Re 1.86

***

5.
## NiRuS4 (GGA-PBE)

Data for crystalline NiRuS4 at its relaxed geometry.

Output
ρ = 5.3 Mg/m³
total moment = 0.4 μB/f.u.
formation energy = -709 meV/atom

Cell: 5.5947 5.6556 5.6749 Å, 90.00 90.64 90.00°
Closest atoms and distances in Å follow each position.
Space group P2_1/c (No. 14)
One atom of each set of equivalent atoms:
Ni 0.0000 0.0000 0.0000 x2  6 S 2.35-2.41
Ru 0.5000 0.0000 0.5000 x2  6 S 2.36-2.37
S 0.1082 0.1099 0.6045 x4  1 S 2.09
S 0.3895 0.6110 0.6115 x4  1 S 2.18, 1 Ni 2.35, 2 Ru 2.37

***

6.
## Al2CoOs (GGA-PBE)

Data for crystalline Al2CoOs at its relaxed geometry.

Output
ρ = 9.7 Mg/m³
formation energy = -511 meV/atom

Cell: 5.9144 5.9144 5.9144 Å, 90.00 90.00 90.00°
Closest atoms and distances in Å follow each position.
Space group Fm-3m (No. 225)
One atom of each set of equivalent atoms:
Al 0.2500 0.2500 0.2500 x8  4 Co 2.56, 4 Os 2.56
Co 0.0000 0.0000 0.0000 x4  8 Al 2.56
Os 0.0000 0.0000 0.5000 x4  8 Al 2.56

***

7.
## Pr2Fe12P7 (GGA-PBE)

Data for crystalline Pr2Fe12P7 at its relaxed geometry.

Output
ρ = 7.4 Mg/m³
total moment = 1.0 μB/f.u.
formation energy = -629 meV/atom

Cell: 9.0693 9.0693 3.6948 Å, 90.00 90.00 120.00°
Closest atoms and distances in Å follow each position.
Space group P-6 (No. 174)
One atom of each set of equivalent atoms:
Pr 0.0000 0.0000 0.0000 x1  6 P 2.94, 12 Fe 3.03-3.19
Pr 0.3333 0.6667 0.5000 x1  6 P 2.90, 9 Fe 3.01-3.12
Fe 0.0485 0.2852 0.5000 x3  4 P 2.26-2.36
Fe 0.0903 0.7024 0.0000 x3  4 P 2.29-2.31, 1 Fe 2.43
Fe 0.3952 0.1826 0.0000 x3  4 P 2.14-2.30
Fe 0.5498 0.4300 0.5000 x3  3 P 2.26-2.50
P 0.0720 0.4386 0.0000 x3  5 Fe 2.19-2.31
P 0.2718 0.2271 0.5000 x3  7 Fe 2.26-2.36
P 0.6667 0.3333 0.0000 x1  3 Fe 2.14

***

8.
## Na5P3O10 (GGA-PBE)

Data for crystalline Na5P3O10 at its relaxed geometry.

Output
ρ = 2.5 Mg/m³
formation energy = -2621 meV/atom

Cell: 16.3123 5.2917 11.3420 Å, 90.00 93.52 90.00°
Closest atoms and distances in Å follow each position.
Space group C2/c (No. 15)
One atom of each set of equivalent atoms:
Na 0.0417 0.2364 0.4621 x8  4 O 2.31-2.40
Na 0.1603 0.2292 0.2063 x8  5 O 2.33-2.51
Na 0.2500 0.2500 0.5000 x4  4 O 2.37-2.40
P 0.0000 0.1920 0.7500 x4  4 O 1.51-1.61
P 0.1468 0.3033 0.9000 x8  3 O 1.52-1.53
O 0.0376 0.0436 0.6527 x8  1 P 1.51
O 0.0659 0.3924 0.8062 x8  2 P 1.61-1.71
O 0.1205 0.4098 0.0177 x8  1 P 1.53
O 0.1517 0.0158 0.8932 x8  1 P 1.53
O 0.2175 0.4480 0.8499 x8  1 P 1.52

***

9.
## TaNCl6 (GGA-PBE)

Data for crystalline TaNCl6 at its relaxed geometry.

Output
ρ = 2.8 Mg/m³
total moment = 4.0 μB/f.u.
formation energy = -703 meV/atom

Cell: 12.3589 6.4613 12.4743 Å, 90.00 102.15 90.00°
Closest atoms and distances in Å follow each position.
Space group C2/c (No. 15)
One atom of each set of equivalent atoms:
Ta 0.2500 0.2500 0.0000 x4  6 Cl 2.36
N 0.0000 0.1192 0.2500 x4  12 Cl 3.64-3.76
Cl 0.0822 0.3820 0.8972 x8  1 Ta 2.36
Cl 0.1561 0.0483 0.5405 x8  1 Ta 2.36
Cl 0.2146 0.4147 0.1581 x8  1 Ta 2.36

***

10.
## YGaI (GGA-PBE)

Data for crystalline YGaI at its relaxed geometry.

Output
ρ = 5.0 Mg/m³
formation energy = -1185 meV/atom

Cell: 4.2090 4.2090 12.2428 Å, 90.00 90.00 120.00°
Closest atoms and distances in Å follow each position.
Space group P-3m1 (No. 164)
One atom of each set of equivalent atoms:
Y 0.0000 0.0000 0.1652 x2  3 Ga 2.95, 3 I 3.15
Ga 0.3333 0.6667 0.9717 x2  3 Ga 2.53
I 0.3333 0.6667 0.3291 x2  3 Y 3.15

***

11.
## CdIn2Te4 (GGA-PBE)

Data for crystalline CdIn2Te4 at its relaxed geometry.

Output
largest piezoelectric modulus = 0.13 C/m2
ρ = 5.4 Mg/m³
formation energy = -617 meV/atom

Cell: 6.4242 6.4242 12.6577 Å, 90.00 90.00 90.00°
Closest atoms and distances in Å follow each position.
Space group I-4 (No. 82)
One atom of each set of equivalent atoms:
Cd 0.0000 0.0000 0.0000 x2  4 Te 2.88
In 0.0000 0.0000 0.5000 x2  4 Te 2.84
In 0.0000 0.5000 0.7500 x2  4 Te 2.85
Te 0.2262 0.2688 0.3632 x8  2 In 2.84-2.85, 1 Cd 2.88

***

12.
## CuPb3Cl2O4 (GGA-PBE)

Data for crystalline CuPb3Cl2O4 at its relaxed geometry.

Output
ρ = 6.9 Mg/m³
total moment = 0.0 μB/f.u.
formation energy = -1200 meV/atom

Cell: 7.0136 5.5667 10.3922 Å, 90.00 102.86 90.00°
Closest atoms and distances in Å follow each position.
Space group P2_1/m (No. 11)
One atom of each set of equivalent atoms:
Cu 0.0000 0.0000 0.0000 x2  4 O 1.86
Pb 0.1083 0.2500 0.3118 x2  3 O 2.34-2.37
Pb 0.3599 0.7500 0.5439 x2  4 O 2.31-2.33
Pb 0.4476 0.7500 0.1920 x2  3 O 2.39-2.41
Cl 0.1238 0.2500 0.6108 x2  7 Pb 3.08-3.42
Cl 0.3425 0.7500 0.8612 x2  5 Pb 3.25-3.35, 2 Cu 3.37, 3 O 3.44-3.57
O 0.0998 0.7500 0.1142 x2  2 Cu 1.86
O 0.1457 0.2500 0.0910 x2  2 Cu 1.86
O 0.3824 0.5013 0.3672 x4  4 Pb 2.31-2.41

***

What is the formation energy in the seventh record? -629 meV/atom